The following is a DFT calculation (PBE-GGA) of an optimized crystal structure of CaMnBi2.

Cell: 4.5342 4.5299 21.6468 Å, 89.99 90.05 90.02°
Positions (direct):
Bi: 0.2672 0.7497 0.7503
Bi: 0.2497 0.2506 0.4215
Bi: 0.7508 0.7502 0.5789
Bi: 0.7326 0.2502 0.7496
Bi: 0.7498 0.7499 0.0786
Bi: 0.2497 0.2495 0.9213
Bi: 0.2496 0.7669 0.2497
Bi: 0.7502 0.2331 0.2502
Mn: 0.7493 0.2503 0.5002
Mn: 0.2509 0.7508 0.5000
Mn: 0.2492 0.7490 0.9999
Mn: 0.7507 0.2494 0.9999
Ca: 0.7501 0.7497 0.3702
Ca: 0.2493 0.2501 0.6297
Ca: 0.7509 0.7498 0.8702
Ca: 0.2499 0.2506 0.1297

Calculated values
As for the calculated formation energy: -285 meV/atom.